[1]
{"formula": "BaNaNdSeO6", "functional": "PBE", "state": "optimized geometry", "lattice_angstrom": [[3.2117, 4.6235, -1.6670], [-2.5445, 5.2456, -0.6926], [1.1124, 4.3281, 3.8080]], "species": ["Ba", "Na", "Nd", "Se", "O", "O", "O", "O", "O", "O"], "fractional_positions": [[0.7500, 0.7500, 0.7500], [0.2500, 0.2500, 0.2500], [0.0000, 0.0000, 0.0000], [0.5000, 0.5000, 0.5000], [0.7213, 0.2787, 0.2787], [0.2787, 0.7213, 0.7213], [0.7213, 0.2787, 0.7213], [0.2787, 0.7213, 0.2787], [0.7213, 0.7213, 0.2787], [0.2787, 0.2787, 0.7213]], "density_g_cm3": 5.56, "formation_enthalpy_0k_ev_per_fu": -23.608, "final_energy_ev_per_atom": -6.07, "energy_corrected_mp2020_ev_per_atom": -6.480}

***

[2]
{"formula": "BaNaNdSi2O7", "functional": "PBE", "state": "optimized geometry", "lattice_angstrom": [[-9.2774, 0.4587, -1.6201], [-0.4609, -10.6326, -0.3714], [-2.4893, -0.3862, 14.1458]], "species": ["Ba", "Ba", "Ba", "Ba", "Ba", "Ba", "Ba", "Ba", "Na", "Na", "Na", "Na", "Na", "Na", "Na", "Na", "Nd", "Nd", "Nd", "Nd", "Nd", "Nd", "Nd", "Nd", "Si", "Si", "Si", "Si", "Si", "Si", "Si", "Si", "Si", "Si", "Si", "Si", "Si", "Si", "Si", "Si", "O", "O", "O", "O", "O", "O", "O", "O", "O", "O", "O", "O", "O", "O", "O", "O", "O", "O", "O", "O", "O", "O", "O", "O", "O", "O", "O", "O", "O", "O", "O", "O", "O", "O", "O", "O", "O", "O", "O", "O", "O", "O", "O", "O", "O", "O", "O", "O", "O", "O", "O", "O", "O", "O", "O", "O"], "fractional_positions": [[0.0833, 0.8210, 0.6047], [0.5833, 0.6790, 0.6047], [0.9167, 0.6790, 0.1047], [0.4167, 0.8210, 0.1047], [0.4167, 0.3210, 0.3953], [0.9167, 0.1790, 0.3953], [0.0833, 0.3210, 0.8953], [0.5833, 0.1790, 0.8953], [0.5617, 0.5870, 0.3052], [0.4383, 0.4130, 0.6948], [0.9383, 0.5870, 0.8052], [0.4383, 0.9130, 0.8052], [0.5617, 0.0870, 0.1948], [0.0617, 0.9130, 0.3052], [0.0617, 0.4130, 0.1948], [0.9383, 0.0870, 0.6948], [0.8994, 0.0819, 0.1041], [0.1006, 0.9181, 0.8959], [0.8994, 0.5819, 0.3959], [0.6006, 0.0819, 0.6041], [0.6006, 0.5819, 0.8959], [0.3994, 0.9181, 0.3959], [0.3994, 0.4181, 0.1041], [0.1006, 0.4181, 0.6041], [0.2794, 0.1061, 0.0169], [0.7206, 0.3939, 0.5169], [0.7529, 0.8522, 0.7771], [0.2206, 0.1061, 0.5169], [0.2206, 0.6061, 0.9831], [0.7794, 0.3939, 0.0169], [0.2529, 0.6478, 0.7771], [0.2471, 0.1478, 0.2229], [0.7206, 0.8939, 0.9831], [0.7471, 0.3522, 0.2229], [0.2794, 0.6061, 0.4831], [0.7529, 0.3522, 0.7229], [0.2471, 0.6478, 0.2771], [0.2529, 0.1478, 0.7229], [0.7471, 0.8522, 0.2771], [0.7794, 0.8939, 0.4831], [0.1052, 0.5998, 0.4913], [0.2653, 0.3003, 0.2125], [0.5800, 0.8918, 0.2704], [0.1581, 0.9892, 0.4555], [0.8530, 0.4002, 0.3056], [0.7653, 0.6997, 0.2875], [0.6773, 0.4226, 0.6285], [0.3403, 0.7452, 0.5099], [0.3530, 0.5998, 0.1944], [0.9200, 0.8918, 0.7704], [0.5800, 0.3918, 0.2296], [0.3948, 0.0998, 0.5087], [0.3419, 0.4892, 0.5445], [0.3948, 0.5998, 0.9913], [0.3403, 0.2452, 0.9901], [0.6773, 0.9226, 0.8715], [0.1470, 0.5998, 0.6944], [0.8403, 0.2548, 0.9901], [0.1581, 0.4892, 0.0445], [0.8530, 0.9002, 0.1944], [0.2347, 0.8003, 0.7875], [0.2653, 0.8003, 0.2875], [0.6581, 0.5108, 0.4555], [0.1470, 0.0998, 0.8056], [0.8419, 0.5108, 0.9555], [0.6470, 0.9002, 0.6944], [0.8227, 0.4226, 0.1285], [0.7347, 0.6997, 0.7875], [0.8948, 0.9002, 0.9913], [0.1773, 0.0774, 0.6285], [0.1052, 0.0998, 0.0087], [0.1597, 0.2452, 0.4901], [0.6052, 0.4002, 0.0087], [0.3227, 0.0774, 0.1285], [0.0800, 0.6082, 0.2704], [0.7653, 0.1997, 0.2125], [0.7347, 0.1997, 0.7125], [0.1597, 0.7452, 0.0099], [0.6581, 0.0108, 0.0445], [0.3227, 0.5774, 0.3715], [0.0800, 0.1082, 0.2296], [0.2347, 0.3003, 0.7125], [0.6470, 0.4002, 0.8056], [0.6597, 0.7548, 0.0099], [0.3530, 0.0998, 0.3056], [0.6597, 0.2548, 0.4901], [0.3419, 0.9892, 0.9555], [0.8948, 0.4002, 0.5087], [0.9200, 0.3918, 0.7296], [0.4200, 0.6082, 0.7704], [0.1773, 0.5774, 0.8715], [0.6052, 0.9002, 0.4913], [0.8227, 0.9226, 0.3715], [0.8419, 0.0108, 0.5445], [0.4200, 0.1082, 0.7296], [0.8403, 0.7548, 0.5099]], "density_g_cm3": 4.35, "formation_enthalpy_0k_ev_per_fu": -40.213, "final_energy_ev_per_atom": -7.41, "energy_corrected_mp2020_ev_per_atom": -7.809}

***

[3]
{"formula": "BaNaNdSi3O9", "functional": "PBE", "state": "optimized geometry", "lattice_angstrom": [[5.7322, 0.0000, 0.0000], [0.0000, 11.6921, 0.0000], [0.0000, 0.0000, 12.7631]], "species": ["Ba", "Ba", "Ba", "Ba", "Na", "Na", "Na", "Na", "Nd", "Nd", "Nd", "Nd", "Si", "Si", "Si", "Si", "Si", "Si", "Si", "Si", "Si", "Si", "Si", "Si", "O", "O", "O", "O", "O", "O", "O", "O", "O", "O", "O", "O", "O", "O", "O", "O", "O", "O", "O", "O", "O", "O", "O", "O", "O", "O", "O", "O", "O", "O", "O", "O", "O", "O", "O", "O"], "fractional_positions": [[0.1040, 0.6185, 0.0797], [0.6040, 0.8815, 0.9203], [0.8960, 0.1185, 0.4203], [0.3960, 0.3815, 0.5797], [0.0654, 0.2872, 0.1040], [0.5654, 0.2128, 0.8960], [0.4346, 0.7128, 0.6040], [0.9346, 0.7872, 0.3960], [0.3866, 0.0278, 0.6399], [0.8866, 0.4722, 0.3601], [0.6134, 0.5278, 0.8601], [0.1134, 0.9722, 0.1399], [0.1011, 0.0874, 0.8769], [0.6010, 0.8035, 0.1870], [0.8990, 0.1965, 0.6870], [0.1010, 0.6965, 0.8130], [0.4050, 0.6535, 0.3560], [0.9050, 0.8465, 0.6440], [0.5950, 0.1535, 0.1440], [0.0950, 0.3465, 0.8560], [0.3989, 0.9126, 0.3769], [0.8989, 0.5874, 0.6231], [0.3990, 0.3035, 0.3130], [0.6011, 0.4126, 0.1231], [0.1471, 0.9420, 0.3254], [0.6471, 0.5580, 0.6746], [0.8529, 0.4420, 0.1746], [0.3529, 0.0580, 0.8254], [0.3433, 0.6842, 0.8767], [0.8433, 0.8158, 0.1233], [0.6567, 0.1842, 0.6233], [0.1567, 0.3158, 0.3767], [0.5054, 0.5011, 0.0368], [0.0054, 0.9989, 0.9632], [0.4946, 0.0011, 0.4632], [0.9946, 0.4989, 0.5368], [0.3921, 0.7779, 0.4252], [0.8921, 0.7221, 0.5748], [0.0893, 0.8184, 0.7439], [0.6079, 0.2779, 0.0748], [0.3732, 0.8123, 0.1121], [0.8732, 0.6877, 0.8879], [0.6268, 0.3123, 0.3879], [0.1268, 0.1877, 0.6121], [0.0988, 0.5963, 0.7188], [0.5988, 0.9037, 0.2812], [0.9012, 0.0963, 0.7812], [0.4012, 0.4037, 0.2188], [0.3577, 0.3735, 0.8157], [0.8577, 0.1265, 0.1843], [0.6423, 0.8735, 0.6843], [0.1423, 0.6265, 0.3157], [0.9640, 0.4399, 0.9280], [0.4640, 0.0601, 0.0720], [0.0360, 0.9399, 0.5720], [0.5360, 0.5601, 0.4280], [0.4107, 0.1816, 0.2439], [0.9107, 0.3184, 0.7561], [0.5893, 0.6816, 0.2561], [0.1079, 0.2221, 0.9252]], "density_g_cm3": 4.14, "formation_enthalpy_0k_ev_per_fu": -50.111, "final_energy_ev_per_atom": -7.52, "energy_corrected_mp2020_ev_per_atom": -7.929}

***

[4]
{"formula": "Ba2NaO", "functional": "PBE", "state": "optimized geometry", "lattice_angstrom": [[-8.4038, 0.9635, 0.4053], [5.2649, -6.2920, 2.0997], [0.6144, 2.6574, 6.4227]], "species": ["Ba", "Ba", "Ba", "Ba", "Na", "Na", "O", "O"], "fractional_positions": [[0.9135, 0.0865, 0.8063], [0.0865, 0.9135, 0.1937], [0.4135, 0.5865, 0.1937], [0.5865, 0.4135, 0.8063], [0.7500, 0.2500, 0.3121], [0.2500, 0.7500, 0.6879], [0.2500, 0.2500, 0.0000], [0.7500, 0.7500, 0.0000]], "density_g_cm3": 2.87, "formation_enthalpy_0k_ev_per_fu": -5.815, "final_energy_ev_per_atom": -3.81, "energy_corrected_mp2020_ev_per_atom": -3.981}

***

[5]
{"formula": "Ba2NaOsO6", "functional": "PBE", "state": "optimized geometry", "lattice_angstrom": [[0.0000, 4.1987, 4.1987], [4.1987, 0.0000, 4.1987], [4.1987, 4.1987, 0.0000]], "species": ["Ba", "Ba", "Na", "Os", "O", "O", "O", "O", "O", "O"], "fractional_positions": [[0.2500, 0.2500, 0.2500], [0.7500, 0.7500, 0.7500], [0.5000, 0.5000, 0.5000], [0.0000, 0.0000, 0.0000], [0.7729, 0.2271, 0.7729], [0.2271, 0.2271, 0.7729], [0.7729, 0.7729, 0.2271], [0.7729, 0.2271, 0.2271], [0.2271, 0.7729, 0.2271], [0.2271, 0.7729, 0.7729]], "density_g_cm3": 6.55, "formation_enthalpy_0k_ev_per_fu": -23.881, "final_energy_ev_per_atom": -6.58, "energy_corrected_mp2020_ev_per_atom": -6.996}

***

[6]
{"formula": "Ba3NaOs2O9", "functional": "PBE", "state": "optimized geometry", "lattice_angstrom": [[-3.3893, 3.6149, -3.3545], [-1.5533, -5.7326, 0.7290], [-7.7507, 3.5876, 11.6973]], "species": ["Ba", "Ba", "Ba", "Ba", "Ba", "Ba", "Na", "Na", "Os", "Os", "Os", "Os", "O", "O", "O", "O", "O", "O", "O", "O", "O", "O", "O", "O", "O", "O", "O", "O", "O", "O"], "fractional_positions": [[0.6667, 0.3333, 0.0884], [0.3333, 0.6667, 0.5884], [0.3333, 0.6667, 0.9116], [0.6667, 0.3333, 0.4116], [0.0000, 0.0000, 0.2500], [0.0000, 0.0000, 0.7500], [0.0000, 0.0000, 0.0000], [0.0000, 0.0000, 0.5000], [0.3333, 0.6667, 0.1623], [0.6667, 0.3333, 0.6623], [0.6667, 0.3333, 0.8377], [0.3333, 0.6667, 0.3377], [0.1802, 0.3604, 0.0911], [0.8198, 0.1802, 0.5911], [0.3604, 0.1802, 0.5911], [0.6396, 0.8198, 0.0911], [0.1802, 0.8198, 0.0911], [0.8198, 0.6396, 0.9089], [0.8198, 0.1802, 0.9089], [0.8198, 0.6396, 0.5911], [0.3604, 0.1802, 0.9089], [0.6396, 0.8198, 0.4089], [0.1802, 0.3604, 0.4089], [0.1802, 0.8198, 0.4089], [0.0172, 0.5086, 0.2500], [0.5086, 0.0172, 0.7500], [0.5086, 0.4914, 0.7500], [0.4914, 0.5086, 0.2500], [0.4914, 0.9828, 0.2500], [0.9828, 0.4914, 0.7500]], "density_g_cm3": 7.09, "formation_enthalpy_0k_ev_per_fu": -35.020, "final_energy_ev_per_atom": -6.86, "energy_corrected_mp2020_ev_per_atom": -7.272}

***

[7]
{"formula": "BaNaPSO12", "functional": "PBE", "state": "optimized geometry", "lattice_angstrom": [[-8.2215, 3.3229, 4.4510], [-1.0817, -8.7564, 4.5390], [5.4482, 3.2758, 7.6179]], "species": ["Ba", "Ba", "Ba", "Ba", "Na", "Na", "Na", "Na", "P", "P", "P", "P", "S", "S", "S", "S", "O", "O", "O", "O", "O", "O", "O", "O", "O", "O", "O", "O", "O", "O", "O", "O", "O", "O", "O", "O", "O", "O", "O", "O", "O", "O", "O", "O", "O", "O", "O", "O", "O", "O", "O", "O", "O", "O", "O", "O", "O", "O", "O", "O", "O", "O", "O", "O"], "fractional_positions": [[0.7946, 0.2946, 0.2054], [0.2946, 0.2054, 0.7946], [0.2054, 0.7946, 0.2946], [0.7054, 0.7054, 0.7054], [0.5334, 0.0334, 0.4666], [0.0334, 0.4666, 0.5334], [0.4666, 0.5334, 0.0334], [0.9666, 0.9666, 0.9666], [0.2700, 0.7700, 0.7300], [0.7700, 0.7300, 0.2700], [0.7300, 0.2700, 0.7700], [0.2300, 0.2300, 0.2300], [0.0846, 0.5846, 0.9154], [0.5846, 0.9154, 0.0846], [0.9154, 0.0846, 0.5846], [0.4154, 0.4154, 0.4154], [0.3116, 0.9362, 0.0412], [0.9588, 0.8116, 0.5638], [0.4362, 0.4588, 0.6884], [0.8116, 0.5638, 0.9588], [0.4588, 0.6884, 0.4362], [0.9362, 0.0412, 0.3116], [0.6884, 0.4362, 0.4588], [0.0412, 0.3116, 0.9362], [0.5638, 0.9588, 0.8116], [0.1884, 0.0638, 0.5412], [0.5412, 0.1884, 0.0638], [0.0638, 0.5412, 0.1884], [0.4957, 0.7683, 0.5308], [0.4692, 0.9957, 0.7317], [0.2683, 0.9692, 0.5043], [0.9957, 0.7317, 0.4692], [0.9692, 0.5043, 0.2683], [0.7683, 0.5308, 0.4957], [0.5043, 0.2683, 0.9692], [0.5308, 0.4957, 0.7683], [0.7317, 0.4692, 0.9957], [0.0043, 0.2317, 0.0308], [0.0308, 0.0043, 0.2317], [0.2317, 0.0308, 0.0043], [0.0831, 0.7150, 0.9857], [0.0143, 0.5831, 0.7850], [0.2150, 0.5143, 0.9169], [0.5831, 0.7850, 0.0143], [0.5143, 0.9169, 0.2150], [0.7150, 0.9857, 0.0831], [0.9169, 0.2150, 0.5143], [0.9857, 0.0831, 0.7150], [0.7850, 0.0143, 0.5831], [0.4169, 0.2850, 0.4857], [0.4857, 0.4169, 0.2850], [0.2850, 0.4857, 0.4169], [0.1899, 0.8900, 0.7734], [0.2266, 0.6899, 0.6100], [0.3900, 0.7266, 0.8101], [0.6899, 0.6100, 0.2266], [0.7266, 0.8101, 0.3900], [0.8900, 0.7734, 0.1899], [0.8101, 0.3900, 0.7266], [0.7734, 0.1899, 0.8900], [0.6100, 0.2266, 0.6899], [0.3101, 0.1100, 0.2734], [0.2734, 0.3101, 0.1100], [0.1100, 0.2734, 0.3101]], "density_g_cm3": 2.82, "formation_enthalpy_0k_ev_per_fu": -18.696, "final_energy_ev_per_atom": -5.56, "energy_corrected_mp2020_ev_per_atom": -5.679}

***

[8]
{"formula": "BaNaY2P2O8", "functional": "PBE", "state": "optimized geometry", "lattice_angstrom": [[-4.6297, 2.4487, -1.2417], [1.3462, -0.7558, 5.1564], [3.8752, 7.3609, 0.0671]], "species": ["Ba", "Na", "Y", "Y", "P", "P", "O", "O", "O", "O", "O", "O", "O", "O"], "fractional_positions": [[0.0000, 0.0000, 0.0000], [0.0000, 0.0000, 0.5000], [0.3333, 0.6667, 0.6975], [0.6667, 0.3333, 0.3025], [0.3333, 0.6667, 0.1851], [0.6667, 0.3333, 0.8149], [0.3333, 0.6667, 0.9968], [0.6667, 0.3333, 0.0032], [0.1774, 0.8226, 0.2514], [0.8226, 0.1774, 0.7486], [0.1774, 0.3548, 0.2514], [0.8226, 0.6452, 0.7486], [0.6452, 0.8226, 0.2514], [0.3548, 0.1774, 0.7486]], "density_g_cm3": 4.20, "formation_enthalpy_0k_ev_per_fu": -37.681, "final_energy_ev_per_atom": -7.05, "energy_corrected_mp2020_ev_per_atom": -7.448}